Density functional theory data (PBE) for crystalline UCuAs2 at its relaxed geometry.

a b c (Å): 5.2308 5.2308 5.7380
angles (deg): 90.00 90.00 90.00
Closest atoms and distances in Å follow each position.
Fractional positions:
U 0.2500 0.2500 0.1614  6 As 2.75-2.99
U 0.7500 0.7500 0.8386  6 As 2.75-2.99
Cu 0.2500 0.7500 0.5000  6 As 2.74-2.87
Cu 0.7500 0.2500 0.5000  6 As 2.74-2.87
As 0.2500 0.2500 0.6402  4 Cu 2.74, 2 U 2.75-2.99
As 0.2500 0.7500 0.0000  4 U 2.77, 2 Cu 2.87
As 0.7500 0.2500 0.0000  4 U 2.77, 2 Cu 2.87
As 0.7500 0.7500 0.3598  4 Cu 2.74, 2 U 2.75-2.99

Values from the calculation:
* calculated total energy: -6.3118 eV per atom